i.
Computed, not measured: Rb3Er after structural relaxation at the PBE level of DFT. Values from VASP.

Values from the calculation:
Total moment ... 0.5 μB/f.u.

```
&SYSTEM
  ibrav = 0, nat = 8, ntyp = 2
/
ATOMIC_SPECIES
Rb 85.47 Rb.upf
Er 167.26 Er.upf
CELL_PARAMETERS angstrom
9.095 0.000 0.000
-4.548 7.877 0.000
0.000 0.000 7.399
ATOMIC_POSITIONS angstrom
Rb 0.000 2.736 1.850
Rb -2.178 6.509 1.850
Rb 2.370 1.368 5.549
Rb 2.178 6.509 1.850
Rb 6.726 1.368 5.549
Rb 4.548 5.140 5.549
Er 0.000 5.251 5.549
Er 4.548 2.626 1.850
```

ii.
Computed, not measured: Rb3Er after structural relaxation at the PBE level of DFT. Values from VASP.

Values from the calculation:
Total moment ... 1.1 μB/f.u.

```
&SYSTEM
  ibrav = 0, nat = 4, ntyp = 2
/
ATOMIC_SPECIES
Rb 85.47 Rb.upf
Er 167.26 Er.upf
CELL_PARAMETERS angstrom
6.433 0.000 0.000
0.000 6.433 0.000
0.000 0.000 6.433
ATOMIC_POSITIONS angstrom
Rb 0.000 0.000 3.216
Rb 0.000 3.216 0.000
Rb 3.216 0.000 0.000
Er 3.216 3.216 3.216
```

On energetic grounds, i is preferred over the next structure by 0.8 kJ/mol of atoms.

i.
Computed, not measured: SrEr2S4 after structural relaxation at the PBE level of DFT. Values from VASP.

Values from the calculation:
Total moment ... 0.0 μB/f.u.
Maximum piezoelectric response ... 0.76 C/m2

```
&SYSTEM
  ibrav = 0, nat = 14, ntyp = 3
/
ATOMIC_SPECIES
Sr 87.62 Sr.upf
Er 167.26 Er.upf
S 32.06 S.upf
CELL_PARAMETERS angstrom
-4.247 4.247 4.239
4.247 -4.247 4.239
4.247 4.247 -4.239
ATOMIC_POSITIONS angstrom
Sr 0.000 0.000 0.000
Sr 0.000 4.247 2.120
Er 2.123 3.243 -1.060
Er 5.250 2.123 1.060
Er 2.123 1.003 3.179
Er -1.003 2.123 5.299
S 2.780 0.615 0.569
S 4.861 2.780 -1.551
S 3.632 -1.467 3.670
S -0.615 1.467 2.688
S 0.615 5.713 -0.569
S 2.780 3.632 1.551
S 1.467 0.615 5.790
S 1.467 3.632 4.808
```

ii.
Computed, not measured: SrEr2S4 after structural relaxation at the PBE level of DFT. Values from VASP.

```
&SYSTEM
  ibrav = 0, nat = 28, ntyp = 3
/
ATOMIC_SPECIES
Sr 87.62 Sr.upf
Er 167.26 Er.upf
S 32.06 S.upf
CELL_PARAMETERS angstrom
11.970 0.000 0.000
0.000 3.970 0.000
0.000 0.000 14.282
ATOMIC_POSITIONS angstrom
Sr 2.911 0.993 2.310
Sr 3.074 2.978 9.451
Sr 8.896 0.993 4.831
Sr 9.059 2.978 11.972
Er 0.825 0.993 5.577
Er 0.956 0.993 12.842
Er 5.029 2.978 5.701
Er 5.160 2.978 12.718
Er 6.810 0.993 1.564
Er 6.941 0.993 8.581
Er 11.014 2.978 1.440
Er 11.145 2.978 8.705
S 0.257 2.978 11.198
S 1.007 0.993 8.258
S 1.554 2.978 0.376
S 2.491 2.978 4.678
S 3.494 0.993 11.819
S 4.431 0.993 7.517
S 4.978 2.978 1.117
S 5.728 0.993 4.057
S 6.242 2.978 10.225
S 6.992 0.993 13.165
S 7.539 2.978 6.765
S 8.476 2.978 2.463
S 9.479 0.993 9.604
S 10.416 0.993 13.906
S 10.964 2.978 6.024
S 11.713 0.993 3.084
```

On energetic grounds, ii is preferred over the next structure by 9.0 kJ/mol of atoms.